[1]
Density functional theory data (PBE-GGA) for a relaxed RhCl2 crystal.

a = 5.690 Å, b = 5.690 Å, c = 3.728 Å
α = 90.00°, β = 90.00°, γ = 90.00°
Element x y z (fractional)
Rh: 0.000 0.000 0.000
Rh: 0.500 0.500 0.500
Cl: 0.303 0.303 0.000
Cl: 0.697 0.697 0.000
Cl: 0.197 0.803 0.500
Cl: 0.803 0.197 0.500

Calculated values
Calculated formation energy (eV/atom): -0.766
V (Å³/cell): 120.7
Symmetry: No. 136
Density (g cm⁻³): 4.8
Crystal system: tetragonal
Total moment (μB per atom): 0.001


[2]
Density functional theory data (PBE-GGA) for a relaxed RhSCl5 crystal.

a = 13.907 Å, b = 13.907 Å, c = 27.499 Å
α = 61.93°, β = 61.93°, γ = 29.06°
Element x y z (fractional)
Rh: 0.937 0.845 0.938
Rh: 0.313 0.066 0.416
Rh: 0.066 0.313 0.916
Rh: 0.018 0.644 0.852
Rh: 0.681 0.942 0.585
Rh: 0.153 0.068 0.562
Rh: 0.068 0.153 0.062
Rh: 0.942 0.681 0.085
Rh: 0.356 0.987 0.648
Rh: 0.644 0.018 0.352
Rh: 0.845 0.937 0.438
Rh: 0.987 0.356 0.148
S: 0.920 0.299 0.913
S: 0.299 0.920 0.413
S: 0.751 0.546 0.218
S: 0.702 0.083 0.587
S: 0.083 0.702 0.087
S: 0.726 0.139 0.882
S: 0.251 0.454 0.782
S: 0.276 0.864 0.119
S: 0.546 0.751 0.718
S: 0.454 0.251 0.282
S: 0.139 0.726 0.382
S: 0.864 0.276 0.619
Cl: 0.172 0.220 0.568
Cl: 0.382 0.444 0.068
Cl: 0.933 0.321 0.832
Cl: 0.558 0.618 0.434
Cl: 0.531 0.153 0.502
Cl: 0.444 0.382 0.568
Cl: 0.691 0.863 0.160
Cl: 0.686 0.063 0.668
Cl: 0.153 0.531 0.002
Cl: 0.580 0.350 0.918
Cl: 0.649 0.425 0.583
Cl: 0.371 0.149 0.642
Cl: 0.149 0.371 0.142
Cl: 0.338 0.840 0.639
Cl: 0.220 0.172 0.068
Cl: 0.329 0.550 0.735
Cl: 0.123 0.886 0.313
Cl: 0.906 0.152 0.057
Cl: 0.277 0.012 0.979
Cl: 0.134 0.313 0.340
Cl: 0.825 0.786 0.433
Cl: 0.550 0.329 0.235
Cl: 0.618 0.558 0.934
Cl: 0.321 0.933 0.332
Cl: 0.448 0.891 0.774
Cl: 0.661 0.163 0.361
Cl: 0.840 0.338 0.139
Cl: 0.350 0.580 0.418
Cl: 0.313 0.134 0.840
Cl: 0.623 0.860 0.358
Cl: 0.450 0.672 0.766
Cl: 0.774 0.671 0.084
Cl: 0.851 0.096 0.442
Cl: 0.048 0.204 0.706
Cl: 0.012 0.277 0.479
Cl: 0.096 0.851 0.942
Cl: 0.163 0.661 0.861
Cl: 0.119 0.876 0.187
Cl: 0.116 0.544 0.728
Cl: 0.671 0.774 0.584
Cl: 0.063 0.686 0.168
Cl: 0.851 0.472 0.998
Cl: 0.891 0.448 0.274
Cl: 0.863 0.691 0.660
Cl: 0.786 0.825 0.933
Cl: 0.225 0.333 0.916
Cl: 0.802 0.948 0.794
Cl: 0.989 0.726 0.522
Cl: 0.472 0.851 0.498
Cl: 0.152 0.906 0.557
Cl: 0.886 0.123 0.813
Cl: 0.425 0.649 0.083
Cl: 0.333 0.225 0.416
Cl: 0.672 0.450 0.266
Cl: 0.876 0.119 0.687
Cl: 0.948 0.802 0.294
Cl: 0.544 0.116 0.228
Cl: 0.860 0.623 0.858
Cl: 0.204 0.048 0.206
Cl: 0.726 0.989 0.022

Calculated values
Calculated formation energy (eV/atom): -0.872
V (Å³/cell): 2257.3
Symmetry: No. 9
Density (g cm⁻³): 2.8
ΔE to the lowest computed polymorph (eV/atom): 0.000
Crystal system: monoclinic
Total moment (μB per atom): 0.001


[3]
Density functional theory data (PBE-GGA) for a relaxed RhSCl5 crystal.

a = 6.977 Å, b = 13.905 Å, c = 24.275 Å
α = 87.76°, β = 81.88°, γ = 75.50°
Element x y z (fractional)
Rh: 0.937 0.282 0.938
Rh: 0.313 0.207 0.416
Rh: 0.062 0.706 0.916
Rh: 0.018 0.488 0.852
Rh: 0.681 0.795 0.585
Rh: 0.153 0.218 0.562
Rh: 0.065 0.718 0.062
Rh: 0.937 0.294 0.085
Rh: 0.356 0.011 0.648
Rh: 0.640 0.990 0.353
Rh: 0.845 0.782 0.438
Rh: 0.980 0.512 0.147
S: 0.920 0.870 0.913
S: 0.296 0.371 0.414
S: 0.751 0.486 0.218
S: 0.702 0.630 0.587
S: 0.079 0.130 0.087
S: 0.726 0.256 0.882
S: 0.251 0.515 0.782
S: 0.276 0.743 0.119
S: 0.542 0.987 0.719
S: 0.455 0.013 0.282
S: 0.139 0.757 0.382
S: 0.861 0.243 0.619
Cl: 0.172 0.042 0.568
Cl: 0.382 0.107 0.068
Cl: 0.933 0.915 0.832
Cl: 0.558 0.392 0.434
Cl: 0.531 0.817 0.502
Cl: 0.436 0.608 0.569
Cl: 0.691 0.288 0.160
Cl: 0.686 0.585 0.668
Cl: 0.152 0.318 0.002
Cl: 0.580 0.155 0.918
Cl: 0.649 0.345 0.583
Cl: 0.371 0.840 0.642
Cl: 0.145 0.340 0.142
Cl: 0.338 0.185 0.639
Cl: 0.215 0.542 0.068
Cl: 0.329 0.388 0.735
Cl: 0.123 0.680 0.313
Cl: 0.906 0.887 0.057
Cl: 0.277 0.735 0.979
Cl: 0.134 0.215 0.340
Cl: 0.825 0.958 0.433
Cl: 0.556 0.888 0.234
Cl: 0.615 0.891 0.933
Cl: 0.315 0.416 0.334
Cl: 0.448 0.889 0.774
Cl: 0.661 0.816 0.361
Cl: 0.835 0.684 0.138
Cl: 0.349 0.655 0.418
Cl: 0.310 0.715 0.840
Cl: 0.623 0.162 0.358
Cl: 0.450 0.114 0.766
Cl: 0.774 0.473 0.084
Cl: 0.851 0.613 0.442
Cl: 0.048 0.044 0.706
Cl: 0.009 0.236 0.479
Cl: 0.101 0.112 0.943
Cl: 0.164 0.316 0.862
Cl: 0.119 0.820 0.187
Cl: 0.116 0.614 0.728
Cl: 0.665 0.973 0.585
Cl: 0.062 0.088 0.169
Cl: 0.851 0.681 0.998
Cl: 0.886 0.386 0.273
Cl: 0.856 0.788 0.662
Cl: 0.784 0.456 0.932
Cl: 0.225 0.528 0.916
Cl: 0.802 0.457 0.794
Cl: 0.989 0.765 0.522
Cl: 0.469 0.182 0.499
Cl: 0.150 0.387 0.559
Cl: 0.882 0.180 0.813
Cl: 0.421 0.845 0.082
Cl: 0.331 0.028 0.415
Cl: 0.674 0.612 0.266
Cl: 0.875 0.320 0.687
Cl: 0.949 0.960 0.295
Cl: 0.540 0.115 0.227
Cl: 0.856 0.661 0.857
Cl: 0.201 0.543 0.205
Cl: 0.726 0.263 0.021

Calculated values
Calculated formation energy (eV/atom): -0.867
V (Å³/cell): 2257.2
Symmetry: No. 1
Density (g cm⁻³): 2.8
ΔE to the lowest computed polymorph (eV/atom): 0.005
Crystal system: triclinic
Total moment (μB per atom): 0.000


[4]
Density functional theory data (PBE-GGA) for a relaxed RhSCl5 crystal.

a = 13.994 Å, b = 13.994 Å, c = 27.534 Å
α = 61.86°, β = 61.86°, γ = 29.29°
Element x y z (fractional)
Rh: 0.938 0.840 0.938
Rh: 0.315 0.060 0.416
Rh: 0.060 0.315 0.916
Rh: 0.018 0.637 0.853
Rh: 0.685 0.940 0.584
Rh: 0.160 0.062 0.562
Rh: 0.062 0.160 0.062
Rh: 0.940 0.685 0.084
Rh: 0.363 0.982 0.647
Rh: 0.637 0.018 0.353
Rh: 0.840 0.938 0.438
Rh: 0.982 0.363 0.147
S: 0.920 0.295 0.914
S: 0.295 0.920 0.414
S: 0.754 0.539 0.217
S: 0.705 0.080 0.586
S: 0.080 0.705 0.086
S: 0.729 0.129 0.882
S: 0.246 0.461 0.783
S: 0.271 0.871 0.118
S: 0.539 0.754 0.717
S: 0.461 0.246 0.283
S: 0.129 0.729 0.382
S: 0.871 0.271 0.618
Cl: 0.173 0.213 0.567
Cl: 0.377 0.443 0.068
Cl: 0.935 0.314 0.833
Cl: 0.557 0.623 0.432
Cl: 0.532 0.145 0.501
Cl: 0.443 0.377 0.568
Cl: 0.696 0.854 0.160
Cl: 0.686 0.065 0.667
Cl: 0.145 0.532 0.001
Cl: 0.583 0.338 0.918
Cl: 0.662 0.417 0.582
Cl: 0.373 0.141 0.642
Cl: 0.141 0.373 0.142
Cl: 0.335 0.839 0.639
Cl: 0.213 0.173 0.067
Cl: 0.328 0.544 0.735
Cl: 0.121 0.882 0.314
Cl: 0.904 0.150 0.057
Cl: 0.271 0.012 0.978
Cl: 0.140 0.302 0.340
Cl: 0.827 0.787 0.433
Cl: 0.544 0.328 0.235
Cl: 0.623 0.557 0.932
Cl: 0.314 0.935 0.333
Cl: 0.446 0.888 0.773
Cl: 0.665 0.161 0.361
Cl: 0.839 0.335 0.139
Cl: 0.338 0.583 0.418
Cl: 0.302 0.140 0.840
Cl: 0.622 0.857 0.358
Cl: 0.450 0.669 0.764
Cl: 0.780 0.661 0.084
Cl: 0.850 0.096 0.443
Cl: 0.053 0.195 0.705
Cl: 0.012 0.271 0.478
Cl: 0.096 0.850 0.943
Cl: 0.161 0.665 0.861
Cl: 0.118 0.879 0.186
Cl: 0.114 0.542 0.728
Cl: 0.661 0.780 0.584
Cl: 0.060 0.681 0.168
Cl: 0.855 0.468 0.999
Cl: 0.888 0.446 0.273
Cl: 0.854 0.696 0.660
Cl: 0.787 0.827 0.933
Cl: 0.220 0.339 0.916
Cl: 0.806 0.940 0.794
Cl: 0.988 0.729 0.522
Cl: 0.468 0.855 0.499
Cl: 0.150 0.904 0.557
Cl: 0.882 0.121 0.814
Cl: 0.417 0.662 0.082
Cl: 0.339 0.220 0.416
Cl: 0.672 0.456 0.265
Cl: 0.879 0.118 0.686
Cl: 0.940 0.806 0.294
Cl: 0.542 0.114 0.228
Cl: 0.859 0.627 0.858
Cl: 0.195 0.053 0.205
Cl: 0.729 0.988 0.022

Calculated values
Calculated formation energy (eV/atom): -0.865
V (Å³/cell): 2303.5
Symmetry: No. 1
Density (g cm⁻³): 2.7
ΔE to the lowest computed polymorph (eV/atom): 0.006
Crystal system: triclinic
Total moment (μB per atom): 0.000


[5]
Density functional theory data (PBE-GGA) for a relaxed Te6RhCl3 crystal.

a = 9.112 Å, b = 9.112 Å, c = 9.112 Å
α = 107.64°, β = 107.64°, γ = 107.64°
Element x y z (fractional)
Te: 0.825 0.812 0.079
Te: 0.812 0.079 0.825
Te: 0.079 0.825 0.812
Te: 0.688 0.675 0.421
Te: 0.421 0.688 0.675
Te: 0.675 0.421 0.688
Te: 0.175 0.188 0.921
Te: 0.188 0.921 0.175
Te: 0.921 0.175 0.188
Te: 0.312 0.325 0.579
Te: 0.579 0.312 0.325
Te: 0.325 0.579 0.312
Rh: 0.750 0.750 0.750
Rh: 0.250 0.250 0.250
Cl: 0.750 0.015 0.485
Cl: 0.485 0.750 0.015
Cl: 0.015 0.485 0.750
Cl: 0.250 0.985 0.515
Cl: 0.515 0.250 0.985
Cl: 0.985 0.515 0.250

Calculated values
Calculated formation energy (eV/atom): -0.578
V (Å³/cell): 618.7
Symmetry: No. 167
Density (g cm⁻³): 5.2
Crystal system: trigonal


[6]
Density functional theory data (PBE-GGA) for a relaxed RuS3Cl8 crystal.

a = 8.183 Å, b = 8.405 Å, c = 11.213 Å
α = 104.25°, β = 98.87°, γ = 108.69°
Element x y z (fractional)
Ru: 0.885 0.846 0.832
Ru: 0.115 0.154 0.168
S: 0.031 0.362 0.281
S: 0.675 0.808 0.664
S: 0.325 0.192 0.336
S: 0.969 0.638 0.719
S: 0.684 0.669 0.909
S: 0.316 0.331 0.091
Cl: 0.892 0.124 0.974
Cl: 0.108 0.876 0.026
Cl: 0.505 0.232 0.040
Cl: 0.495 0.768 0.960
Cl: 0.489 0.556 0.238
Cl: 0.511 0.444 0.762
Cl: 0.528 0.960 0.714
Cl: 0.132 0.029 0.773
Cl: 0.215 0.525 0.454
Cl: 0.785 0.475 0.546
Cl: 0.034 0.551 0.193
Cl: 0.966 0.449 0.807
Cl: 0.868 0.971 0.227
Cl: 0.472 0.040 0.286
Cl: 0.226 0.087 0.472
Cl: 0.774 0.913 0.528

Calculated values
Calculated formation energy (eV/atom): -0.722
V (Å³/cell): 684.9
Symmetry: No. 2
Density (g cm⁻³): 2.3
Crystal system: triclinic


[7]
Density functional theory data (PBE-GGA) for a relaxed RuS4Cl12 crystal.

a = 12.562 Å, b = 11.303 Å, c = 16.518 Å
α = 71.57°, β = 90.00°, γ = 90.00°
Element x y z (fractional)
Ru: 0.277 0.299 0.797
Ru: 0.777 0.701 0.703
Ru: 0.223 0.299 0.297
Ru: 0.723 0.701 0.203
S: 0.776 0.497 0.219
S: 0.581 0.981 0.020
S: 0.276 0.503 0.281
S: 0.919 0.981 0.520
S: 0.419 0.019 0.980
S: 0.081 0.019 0.480
S: 0.067 0.346 0.228
S: 0.433 0.346 0.728
S: 0.224 0.503 0.781
S: 0.309 0.298 0.179
S: 0.809 0.702 0.321
S: 0.724 0.497 0.719
S: 0.567 0.654 0.272
S: 0.933 0.654 0.772
S: 0.691 0.702 0.821
S: 0.191 0.298 0.679
Cl: 0.824 0.368 0.802
Cl: 0.102 0.289 0.413
Cl: 0.095 0.456 0.628
Cl: 0.756 0.454 0.610
Cl: 0.256 0.546 0.890
Cl: 0.707 0.921 0.159
Cl: 0.063 0.001 0.078
Cl: 0.119 0.840 0.494
Cl: 0.398 0.289 0.913
Cl: 0.572 0.839 0.796
Cl: 0.706 0.970 0.379
Cl: 0.382 0.291 0.379
Cl: 0.176 0.632 0.198
Cl: 0.882 0.709 0.121
Cl: 0.905 0.544 0.372
Cl: 0.965 0.192 0.245
Cl: 0.619 0.160 0.006
Cl: 0.405 0.456 0.128
Cl: 0.618 0.709 0.621
Cl: 0.072 0.161 0.704
Cl: 0.244 0.546 0.390
Cl: 0.793 0.921 0.659
Cl: 0.794 0.970 0.879
Cl: 0.881 0.160 0.506
Cl: 0.428 0.161 0.204
Cl: 0.381 0.840 0.994
Cl: 0.293 0.079 0.841
Cl: 0.582 0.604 0.404
Cl: 0.465 0.808 0.255
Cl: 0.535 0.192 0.745
Cl: 0.676 0.368 0.302
Cl: 0.937 0.999 0.922
Cl: 0.595 0.544 0.872
Cl: 0.035 0.808 0.755
Cl: 0.206 0.030 0.121
Cl: 0.324 0.632 0.698
Cl: 0.207 0.079 0.341
Cl: 0.418 0.396 0.596
Cl: 0.744 0.454 0.110
Cl: 0.898 0.711 0.587
Cl: 0.563 0.999 0.422
Cl: 0.602 0.711 0.087
Cl: 0.918 0.604 0.904
Cl: 0.294 0.030 0.621
Cl: 0.928 0.839 0.296
Cl: 0.437 0.001 0.578
Cl: 0.082 0.396 0.096
Cl: 0.118 0.291 0.879

Calculated values
Calculated formation energy (eV/atom): -0.653
V (Å³/cell): 2224.9
Symmetry: No. 14
Density (g cm⁻³): 2.0
Crystal system: monoclinic
Total moment (μB per atom): 0.000


[8]
Density functional theory data (PBE-GGA) for a relaxed SbSCl9 crystal.

a = 9.086 Å, b = 9.086 Å, c = 9.086 Å
α = 76.53°, β = 76.53°, γ = 76.53°
Element x y z (fractional)
Sb: 0.500 0.500 0.500
Sb: 0.000 0.000 0.000
S: 0.707 0.707 0.707
S: 0.293 0.293 0.293
Cl: 0.029 0.029 0.725
Cl: 0.971 0.971 0.275
Cl: 0.971 0.275 0.971
Cl: 0.725 0.029 0.029
Cl: 0.029 0.725 0.029
Cl: 0.275 0.971 0.971
Cl: 0.371 0.675 0.675
Cl: 0.325 0.629 0.325
Cl: 0.629 0.325 0.325
Cl: 0.675 0.371 0.675
Cl: 0.325 0.325 0.629
Cl: 0.675 0.675 0.371
Cl: 0.063 0.341 0.341
Cl: 0.659 0.937 0.659
Cl: 0.937 0.659 0.659
Cl: 0.341 0.063 0.341
Cl: 0.341 0.341 0.063
Cl: 0.659 0.659 0.937

Calculated values
Calculated formation energy (eV/atom): -0.957
V (Å³/cell): 696.7
Symmetry: No. 166
Density (g cm⁻³): 2.3
ΔE to the lowest computed polymorph (eV/atom): 0.012
Crystal system: trigonal
Total moment (μB per atom): 0.000